# Mn3Sb5I3O9 (PBE+U, optimized geometry)
data_Mn3Sb5I3O9
_cell_length_a 8.311
_cell_length_b 9.176
_cell_length_c 12.563
_cell_angle_alpha 78.42
_cell_angle_beta 85.25
_cell_angle_gamma 70.25
_space_group_name_H-M_alt 'P 1'
_space_group_IT_number 1
_space_group_name_Hall 'P 1'
loop_
_atom_site_label
_atom_site_type_symbol
_atom_site_fract_x
_atom_site_fract_y
_atom_site_fract_z
Sb1 Sb 0.528 0.211 0.758
Sb2 Sb 0.882 0.182 0.500
Sb3 Sb 0.118 0.818 0.500
Sb4 Sb 0.793 0.320 0.203
Sb5 Sb 0.186 0.267 0.983
Sb6 Sb 0.755 0.844 0.743
Sb7 Sb 0.472 0.789 0.242
Sb8 Sb 0.207 0.680 0.797
Sb9 Sb 0.814 0.733 0.017
Sb10 Sb 0.245 0.156 0.257
O1 O 0.436 0.144 0.908
O2 O 0.564 0.856 0.092
O3 O 0.353 0.201 0.107
O4 O 0.853 0.937 0.018
O5 O 0.224 0.891 0.803
O6 O 0.137 0.030 0.517
O7 O 0.647 0.799 0.893
O8 O 0.863 0.970 0.483
O9 O 0.031 0.255 0.137
O10 O 0.073 0.764 0.658
O11 O 0.969 0.745 0.863
O12 O 0.496 0.975 0.291
O13 O 0.147 0.063 0.982
O14 O 0.777 0.054 0.768
O15 O 0.223 0.946 0.232
O16 O 0.776 0.109 0.197
O17 O 0.927 0.236 0.342
O18 O 0.504 0.025 0.709
Mn1 Mn 0.024 0.968 0.129
Mn2 Mn 0.390 0.909 0.932
Mn3 Mn 0.976 0.032 0.871
Mn4 Mn 0.610 0.091 0.068
Mn5 Mn 0.292 0.011 0.647
Mn6 Mn 0.708 0.989 0.353
I1 I 0.716 0.358 0.925
I2 I 0.905 0.676 0.313
I3 I 0.095 0.324 0.687
I4 I 0.509 0.705 0.576
I5 I 0.284 0.642 0.075
I6 I 0.491 0.295 0.424
# ΔE_f: -155 kJ/mol of atoms
# E: -5.9061 eV per atom
# crystal system: triclinic
# volume: 883 Å³ per cell

=====

# Mn3Sb2I4O4 (PBE+U, optimized geometry)
data_Mn3Sb2I4O4
_cell_length_a 6.623
_cell_length_b 8.041
_cell_length_c 15.382
_cell_angle_alpha 89.98
_cell_angle_beta 90.02
_cell_angle_gamma 114.29
_space_group_name_H-M_alt 'P 1'
_space_group_IT_number 1
_space_group_name_Hall 'P 1'
loop_
_atom_site_label
_atom_site_type_symbol
_atom_site_fract_x
_atom_site_fract_y
_atom_site_fract_z
Mn1 Mn 0.257 0.014 0.250
Mn2 Mn 0.000 0.000 0.000
Mn3 Mn 0.243 0.988 0.750
Mn4 Mn 0.499 0.999 0.500
Mn5 Mn 0.743 0.987 0.750
Mn6 Mn 0.757 0.013 0.250
Sb1 Sb 0.592 0.185 0.058
Sb2 Sb 0.907 0.815 0.558
Sb3 Sb 0.092 0.185 0.442
Sb4 Sb 0.408 0.815 0.942
I1 I 0.874 0.747 0.158
I2 I 0.345 0.690 0.624
I3 I 0.655 0.310 0.376
I4 I 0.626 0.253 0.658
I5 I 0.156 0.310 0.124
I6 I 0.126 0.253 0.842
I7 I 0.374 0.747 0.342
I8 I 0.845 0.690 0.876
O1 O 0.309 0.000 0.000
O2 O 0.691 0.000 0.000
O3 O 0.191 0.000 0.500
O4 O 0.033 0.067 0.327
O5 O 0.533 0.066 0.173
O6 O 0.967 0.934 0.673
O7 O 0.809 0.000 0.500
O8 O 0.467 0.934 0.827
# ΔE_f: -129 kJ/mol of atoms
# E: -5.4786 eV per atom
# crystal system: triclinic
# volume: 747 Å³ per cell

=====

# Nb4Mo6I22O (PBE+U, optimized geometry)
data_Nb4Mo6I22O
_cell_length_a 11.214
_cell_length_b 11.245
_cell_length_c 12.397
_cell_angle_alpha 80.42
_cell_angle_beta 80.37
_cell_angle_gamma 79.76
_space_group_name_H-M_alt 'P 1'
_space_group_IT_number 1
_space_group_name_Hall 'P 1'
loop_
_atom_site_label
_atom_site_type_symbol
_atom_site_fract_x
_atom_site_fract_y
_atom_site_fract_z
I1 I 0.398 0.809 0.347
I2 I 0.446 0.509 0.766
I3 I 0.307 0.240 0.126
I4 I 0.176 0.585 0.262
I5 I 0.824 0.415 0.738
I6 I 0.071 0.697 0.927
I7 I 0.638 0.109 0.349
I8 I 0.676 0.688 0.530
I9 I 0.829 0.364 0.420
I10 I 0.187 0.213 0.828
I11 I 0.953 0.013 0.726
I12 I 0.317 0.898 0.014
I13 I 0.683 0.102 0.986
I14 I 0.362 0.891 0.651
I15 I 0.171 0.636 0.580
I16 I 0.813 0.787 0.172
I17 I 0.929 0.303 0.073
I18 I 0.554 0.491 0.234
I19 I 0.047 0.987 0.274
I20 I 0.693 0.760 0.874
I21 I 0.324 0.312 0.470
I22 I 0.602 0.191 0.653
O1 O 0.500 0.500 0.500
Nb1 Nb 0.422 0.664 0.559
Nb2 Nb 0.578 0.336 0.441
Nb3 Nb 0.642 0.438 0.596
Nb4 Nb 0.358 0.562 0.404
Mo1 Mo 0.832 0.060 0.163
Mo2 Mo 0.168 0.940 0.837
Mo3 Mo 0.854 0.882 0.941
Mo4 Mo 0.922 0.189 0.880
Mo5 Mo 0.146 0.118 0.059
Mo6 Mo 0.078 0.811 0.120
# ΔE_f: -20 kJ/mol of atoms
# E: -3.9648 eV per atom
# crystal system: triclinic
# volume: 1502 Å³ per cell

=====

# RbMoIO6 (PBE+U, optimized geometry)
data_RbMoIO6
_cell_length_a 7.499
_cell_length_b 7.847
_cell_length_c 10.465
_cell_angle_alpha 90.00
_cell_angle_beta 90.00
_cell_angle_gamma 90.00
_space_group_name_H-M_alt 'P 1'
_space_group_IT_number 1
_space_group_name_Hall 'P 1'
loop_
_atom_site_label
_atom_site_type_symbol
_atom_site_fract_x
_atom_site_fract_y
_atom_site_fract_z
O1 O 0.630 0.298 0.391
O2 O 0.839 0.062 0.019
O3 O 0.130 0.702 0.609
O4 O 0.134 0.137 0.159
O5 O 0.532 0.632 0.349
O6 O 0.339 0.938 0.981
O7 O 0.839 0.562 0.481
O8 O 0.339 0.438 0.519
O9 O 0.630 0.798 0.109
O10 O 0.634 0.363 0.659
O11 O 0.532 0.132 0.151
O12 O 0.634 0.863 0.841
O13 O 0.130 0.202 0.891
O14 O 0.032 0.868 0.849
O15 O 0.422 0.072 0.657
O16 O 0.548 0.721 0.610
O17 O 0.134 0.637 0.341
O18 O 0.048 0.279 0.390
O19 O 0.048 0.779 0.110
O20 O 0.922 0.928 0.343
O21 O 0.032 0.368 0.651
O22 O 0.548 0.221 0.890
O23 O 0.922 0.428 0.157
O24 O 0.422 0.572 0.843
I1 I 0.931 0.721 0.259
I2 I 0.431 0.279 0.741
I3 I 0.431 0.779 0.759
I4 I 0.931 0.221 0.241
Mo1 Mo 0.095 0.008 0.971
Mo2 Mo 0.595 0.492 0.471
Mo3 Mo 0.095 0.508 0.529
Mo4 Mo 0.595 0.992 0.029
Rb1 Rb 0.863 0.518 0.882
Rb2 Rb 0.363 0.482 0.118
Rb3 Rb 0.863 0.018 0.618
Rb4 Rb 0.363 0.982 0.382
# ΔE_f: -158 kJ/mol of atoms
# E: -5.6051 eV per atom
# crystal system: orthorhombic
# volume: 616 Å³ per cell

=====

# NaNiIO6 (PBE+U, optimized geometry)
data_NaNiIO6
_cell_length_a 4.997
_cell_length_b 4.997
_cell_length_c 5.308
_cell_angle_alpha 90.00
_cell_angle_beta 90.00
_cell_angle_gamma 120.00
_space_group_name_H-M_alt 'P 1'
_space_group_IT_number 1
_space_group_name_Hall 'P 1'
loop_
_atom_site_label
_atom_site_type_symbol
_atom_site_fract_x
_atom_site_fract_y
_atom_site_fract_z
O1 O 0.957 0.294 0.701
O2 O 0.336 0.043 0.701
O3 O 0.336 0.294 0.299
O4 O 0.706 0.043 0.299
O5 O 0.957 0.664 0.299
O6 O 0.706 0.664 0.701
I1 I 0.000 0.000 0.500
Na1 Na 0.333 0.667 0.000
Ni1 Ni 0.667 0.333 0.500
# ΔE_f: -100 kJ/mol of atoms
# E: -4.5546 eV per atom
# crystal system: trigonal
# volume: 115 Å³ per cell
# piezoelectric modulus e_max: 0.8 C/m²

=====

# NdV2IO9 (PBE+U, optimized geometry)
data_NdV2IO9
_cell_length_a 7.105
_cell_length_b 7.311
_cell_length_c 14.697
_cell_angle_alpha 90.00
_cell_angle_beta 90.00
_cell_angle_gamma 90.00
_space_group_name_H-M_alt 'P 1'
_space_group_IT_number 1
_space_group_name_Hall 'P 1'
loop_
_atom_site_label
_atom_site_type_symbol
_atom_site_fract_x
_atom_site_fract_y
_atom_site_fract_z
O1 O 0.328 0.954 0.158
O2 O 0.827 0.430 0.490
O3 O 0.474 0.250 0.500
O4 O 0.827 0.930 0.010
O5 O 0.083 0.250 0.624
O6 O 0.328 0.454 0.342
O7 O 0.173 0.430 0.990
O8 O 0.262 0.500 0.750
O9 O 0.526 0.750 0.500
O10 O 0.672 0.454 0.842
O11 O 0.262 0.000 0.750
O12 O 0.917 0.250 0.124
O13 O 0.173 0.930 0.510
O14 O 0.530 0.750 0.280
O15 O 0.083 0.750 0.876
O16 O 0.672 0.954 0.658
O17 O 0.988 0.250 0.308
O18 O 0.173 0.570 0.510
O19 O 0.917 0.750 0.376
O20 O 0.988 0.750 0.192
O21 O 0.827 0.570 0.010
O22 O 0.012 0.750 0.692
O23 O 0.470 0.250 0.720
O24 O 0.470 0.750 0.780
O25 O 0.012 0.250 0.808
O26 O 0.474 0.750 0.000
O27 O 0.738 0.500 0.250
O28 O 0.672 0.546 0.658
O29 O 0.173 0.070 0.990
O30 O 0.530 0.250 0.220
O31 O 0.738 0.000 0.250
O32 O 0.328 0.046 0.342
O33 O 0.526 0.250 0.000
O34 O 0.672 0.046 0.842
O35 O 0.827 0.070 0.490
O36 O 0.328 0.546 0.158
V1 V 0.537 0.500 0.750
V2 V 0.818 0.250 0.228
V3 V 0.182 0.250 0.728
V4 V 0.463 0.000 0.250
V5 V 0.463 0.500 0.250
V6 V 0.182 0.750 0.772
V7 V 0.537 0.000 0.750
V8 V 0.818 0.750 0.272
Nd1 Nd 0.851 0.250 0.952
Nd2 Nd 0.149 0.750 0.048
Nd3 Nd 0.149 0.250 0.452
Nd4 Nd 0.851 0.750 0.548
I1 I 0.702 0.750 0.945
I2 I 0.702 0.250 0.555
I3 I 0.298 0.250 0.055
I4 I 0.298 0.750 0.445
# ΔE_f: -221 kJ/mol of atoms
# E: -6.8652 eV per atom
# crystal system: orthorhombic
# volume: 763 Å³ per cell

=====

# NiI2O6 (PBE+U, optimized geometry)
data_NiI2O6
_cell_length_a 5.201
_cell_length_b 6.896
_cell_length_c 14.697
_cell_angle_alpha 90.00
_cell_angle_beta 90.00
_cell_angle_gamma 90.00
_space_group_name_H-M_alt 'P 1'
_space_group_IT_number 1
_space_group_name_Hall 'P 1'
loop_
_atom_site_label
_atom_site_type_symbol
_atom_site_fract_x
_atom_site_fract_y
_atom_site_fract_z
O1 O 0.441 0.672 0.579
O2 O 0.059 0.672 0.421
O3 O 0.089 0.099 0.423
O4 O 0.891 0.873 0.263
O5 O 0.891 0.373 0.237
O6 O 0.559 0.828 0.079
O7 O 0.911 0.901 0.577
O8 O 0.391 0.627 0.237
O9 O 0.911 0.401 0.923
O10 O 0.089 0.599 0.077
O11 O 0.609 0.373 0.763
O12 O 0.109 0.127 0.737
O13 O 0.441 0.172 0.921
O14 O 0.109 0.627 0.763
O15 O 0.941 0.328 0.579
O16 O 0.391 0.127 0.263
O17 O 0.941 0.828 0.921
O18 O 0.589 0.901 0.423
O19 O 0.559 0.328 0.421
O20 O 0.589 0.401 0.077
O21 O 0.059 0.172 0.079
O22 O 0.411 0.099 0.577
O23 O 0.609 0.873 0.737
O24 O 0.411 0.599 0.923
I1 I 0.767 0.218 0.148
I2 I 0.267 0.282 0.352
I3 I 0.233 0.782 0.852
I4 I 0.733 0.718 0.648
I5 I 0.267 0.782 0.148
I6 I 0.767 0.718 0.352
I7 I 0.733 0.218 0.852
I8 I 0.233 0.282 0.648
Ni1 Ni 0.750 0.628 0.000
Ni2 Ni 0.750 0.128 0.500
Ni3 Ni 0.250 0.372 0.000
Ni4 Ni 0.250 0.872 0.500
# relative energy among the computed polymorphs: 1.052 kcal/mol of atoms
# ΔE_f: -88 kJ/mol of atoms
# E: -4.4483 eV per atom
# crystal system: orthorhombic
# volume: 527 Å³ per cell

=====

# NiI2O6 (PBE+U, optimized geometry)
data_NiI2O6
_cell_length_a 5.321
_cell_length_b 9.359
_cell_length_c 10.973
_cell_angle_alpha 89.88
_cell_angle_beta 89.99
_cell_angle_gamma 89.99
_space_group_name_H-M_alt 'P 1'
_space_group_IT_number 1
_space_group_name_Hall 'P 1'
loop_
_atom_site_label
_atom_site_type_symbol
_atom_site_fract_x
_atom_site_fract_y
_atom_site_fract_z
O1 O 0.203 0.919 0.825
O2 O 0.702 0.400 0.222
O3 O 0.146 0.122 0.511
O4 O 0.632 0.569 0.928
O5 O 0.131 0.431 0.572
O6 O 0.703 0.272 0.955
O7 O 0.702 0.080 0.175
O8 O 0.202 0.919 0.325
O9 O 0.203 0.728 0.045
O10 O 0.133 0.200 0.767
O11 O 0.702 0.080 0.675
O12 O 0.702 0.400 0.722
O13 O 0.131 0.431 0.072
O14 O 0.133 0.200 0.267
O15 O 0.204 0.728 0.545
O16 O 0.202 0.600 0.278
O17 O 0.704 0.273 0.455
O18 O 0.146 0.122 0.011
O19 O 0.631 0.569 0.428
O20 O 0.202 0.600 0.778
O21 O 0.633 0.800 0.733
O22 O 0.633 0.800 0.233
O23 O 0.646 0.878 0.489
O24 O 0.646 0.878 0.989
I1 I 0.488 0.934 0.132
I2 I 0.988 0.066 0.368
I3 I 0.988 0.066 0.868
I4 I 0.016 0.600 0.135
I5 I 0.016 0.600 0.635
I6 I 0.516 0.400 0.365
I7 I 0.488 0.934 0.632
I8 I 0.516 0.400 0.865
Ni1 Ni 0.914 0.253 0.617
Ni2 Ni 0.414 0.747 0.883
Ni3 Ni 0.914 0.253 0.117
Ni4 Ni 0.414 0.747 0.383
# relative energy among the computed polymorphs: 0.000 kcal/mol of atoms
# ΔE_f: -92 kJ/mol of atoms
# E: -4.4940 eV per atom
# crystal system: monoclinic
# volume: 546 Å³ per cell
# piezoelectric modulus e_max: 1.3 C/m²